A plane-wave DFT calculation with PBE was carried out for a relaxed Si2H2O3 crystal.

Cell: 18.6245 8.7667 14.3075 Å, 90.00 122.98 90.00°
Space group Cc (No. 9)
Symmetry-distinct sites (fractional):
Si: 0.0000 0.0755 0.0000
Si: 0.0636 0.2800 0.5456
Si: 0.0752 0.2676 0.3058
Si: 0.1810 0.2592 0.8676
Si: 0.1868 0.2970 0.1289
Si: 0.2777 0.3116 0.4475
Si: 0.2910 0.2795 0.7141
Si: 0.3339 0.0842 0.9743
Si: 0.3598 0.0759 0.2407
Si: 0.4773 0.4403 0.2398
H: 0.0069 0.4293 0.3768
H: 0.0534 0.2400 0.6937
H: 0.1465 0.4345 0.9593
H: 0.1516 0.0360 0.0911
H: 0.1801 0.2025 0.5347
H: 0.1936 0.0769 0.4201
H: 0.3487 0.4366 0.6176
H: 0.3877 0.1568 0.4672
H: 0.4403 0.1269 0.1619
H: 0.4501 0.2663 0.3424
O: 0.0214 0.1079 0.4962
O: 0.0353 0.0957 0.2967
O: 0.0546 0.3551 0.4162
O: 0.0652 0.1936 0.7657
O: 0.1166 0.1260 0.0809
O: 0.1664 0.3283 0.9763
O: 0.1753 0.2319 0.5988
O: 0.1855 0.1949 0.4215
O: 0.2269 0.0857 0.9327
O: 0.2737 0.1882 0.1837
O: 0.3069 0.3492 0.5864
O: 0.3212 0.1010 0.7123
O: 0.3381 0.1290 0.4708
O: 0.3811 0.0908 0.1267
O: 0.4793 0.3704 0.3619

- Energy relative to the lowest polymorph listed for this composition: 0.597 eV/atom
- Raw total energy: -0.428 Ry/atom
- ΔE_f: -999 kJ/mol of formula units
- ρ: 1.8 g/cm3
- Magnetic moment: 0.01 μB/cell